(1)
Compound: MnH30C6Se5N6
Source: the Materials Project
Functional: PBE
Structure: optimized geometry

Computed properties:
The formation energy from the elements is -0.243 eV per atom. As for the theoretical density: 1.816 g/cm3. Its crystal system is orthorhombic.

a b c (Å): 8.8324 12.8329 20.5252
angles (deg): 90.00 90.00 90.00
Sites, in units of the cell vectors:
Mn: 0.7500 0.2500 0.4193
C: 0.2633 0.5040 0.8836
H: 0.5866 0.8123 0.4937
H: 0.2601 0.4821 0.8319
N: 0.8189 0.4267 0.4233
H: 0.5722 0.2716 0.0760
C: 0.7367 0.4960 0.1164
N: 0.3189 0.9267 0.5767
N: 0.4185 0.6951 0.5017
N: 0.9441 0.2433 0.3456
Se: 0.9329 0.0000 0.7500
Se: 0.7597 0.5574 0.5844
H: 0.9826 0.2782 0.7483
H: 0.2852 0.0828 0.6117
H: 0.7601 0.0179 0.3319
H: 0.0392 0.7363 0.1283
H: 0.5669 0.1738 0.5613
Se: 0.7828 0.9285 0.8360
C: 0.7633 0.0040 0.1164
Se: 0.7597 0.4426 0.9156
H: 0.2148 0.5828 0.8883
Se: 0.2597 0.9426 0.0844
H: 0.0669 0.4305 0.9120
H: 0.4922 0.6458 0.5255
C: 0.4922 0.2310 0.5378
Mn: 0.2500 0.7500 0.5807
H: 0.1864 0.4507 0.9712
H: 0.4641 0.6675 0.6679
H: 0.1173 0.9925 0.8986
H: 0.4278 0.2716 0.5760
N: 0.4185 0.3049 0.9983
H: 0.3827 0.4925 0.6014
H: 0.4331 0.0695 0.9120
H: 0.7601 0.9821 0.1681
H: 0.7148 0.9172 0.3883
H: 0.4134 0.1877 0.5063
H: 0.0174 0.2782 0.2483
H: 0.4820 0.1121 0.7986
H: 0.1727 0.3158 0.7662
N: 0.0559 0.2433 0.8456
C: 0.4922 0.7690 0.9622
H: 0.4331 0.8262 0.4387
Se: 0.2403 0.4426 0.4156
H: 0.6864 0.0493 0.4712
H: 0.8273 0.3158 0.2662
Se: 0.7172 0.5715 0.8360
N: 0.0815 0.8049 0.5017
H: 0.5669 0.0695 0.4120
H: 0.5392 0.7637 0.6283
H: 0.0174 0.7218 0.2517
Se: 0.2828 0.4285 0.1640
H: 0.5392 0.2363 0.8717
Se: 0.5671 0.5000 0.7500
H: 0.3136 0.9507 0.5288
H: 0.7399 0.4821 0.3319
H: 0.9278 0.7716 0.4240
H: 0.4608 0.7637 0.1283
H: 0.4331 0.1738 0.0613
Mn: 0.7500 0.7500 0.0807
H: 0.3273 0.1842 0.7662
H: 0.0392 0.2637 0.3717
H: 0.2601 0.5179 0.6681
N: 0.5559 0.2567 0.3456
Se: 0.7403 0.9426 0.5844
H: 0.0669 0.5695 0.5880
H: 0.6173 0.4925 0.1014
H: 0.5174 0.2218 0.7483
H: 0.1727 0.6842 0.7338
H: 0.0359 0.1675 0.8321
H: 0.1395 0.1471 0.0299
Se: 0.2172 0.9285 0.3360
H: 0.0866 0.3123 0.5063
H: 0.7852 0.5828 0.3883
C: 0.0577 0.3093 0.7863
N: 0.6811 0.0733 0.4233
C: 0.5577 0.1907 0.2863
H: 0.5078 0.3542 0.4745
H: 0.0180 0.3879 0.7986
H: 0.5174 0.7782 0.7517
C: 0.0577 0.6907 0.7137
H: 0.9331 0.5695 0.0880
H: 0.8827 0.0075 0.1014
N: 0.4441 0.2567 0.8456
C: 0.4423 0.1907 0.7863
H: 0.3605 0.6471 0.4701
H: 0.9820 0.3879 0.2986
H: 0.9826 0.7218 0.7517
N: 0.9185 0.8049 0.0017
H: 0.3273 0.8158 0.7338
H: 0.4820 0.8879 0.7014
H: 0.4608 0.2363 0.3717
H: 0.0669 0.3262 0.0613
H: 0.9608 0.2637 0.8717
H: 0.5669 0.9305 0.0880
H: 0.1395 0.8529 0.4701
H: 0.4826 0.7782 0.2517
H: 0.6864 0.9507 0.0288
H: 0.6727 0.1842 0.2662
N: 0.5559 0.7433 0.1544
N: 0.1811 0.4267 0.9233
H: 0.5359 0.3325 0.3321
H: 0.5078 0.6458 0.0255
Se: 0.2172 0.0715 0.1640
Se: 0.2597 0.0574 0.4156
Se: 0.7828 0.0715 0.6640
H: 0.8136 0.4507 0.4712
Mn: 0.2500 0.2500 0.9193
C: 0.9423 0.6907 0.2137
H: 0.8605 0.8529 0.9701
H: 0.7852 0.4172 0.1117
Se: 0.7403 0.0574 0.9156
H: 0.9134 0.3123 0.0063
H: 0.7148 0.0828 0.1117
H: 0.0722 0.7716 0.9240
H: 0.9278 0.2284 0.0760
Se: 0.0671 0.0000 0.2500
N: 0.0815 0.1951 0.9983
H: 0.6395 0.3529 0.5299
H: 0.8605 0.1471 0.5299
H: 0.0866 0.6877 0.9937
H: 0.3605 0.3529 0.0299
H: 0.3136 0.0493 0.9712
C: 0.2633 0.4960 0.6164
H: 0.5866 0.1877 0.0063
H: 0.1864 0.5493 0.5288
N: 0.8189 0.5733 0.0767
H: 0.0078 0.8542 0.5255
H: 0.9134 0.6877 0.4937
H: 0.8273 0.6842 0.2338
H: 0.4134 0.8123 0.9937
Se: 0.7172 0.4285 0.6640
H: 0.4826 0.2218 0.2483
H: 0.2399 0.0179 0.8319
N: 0.4441 0.7433 0.6544
H: 0.9641 0.8325 0.1679
N: 0.3189 0.0733 0.9233
H: 0.6727 0.8158 0.2338
C: 0.0078 0.7310 0.9622
H: 0.6173 0.5075 0.3986
C: 0.4423 0.8093 0.7137
N: 0.5815 0.6951 0.0017
H: 0.5722 0.7284 0.4240
N: 0.9185 0.1951 0.4983
H: 0.4641 0.3325 0.8321
C: 0.7367 0.5040 0.3836
N: 0.1811 0.5733 0.5767
H: 0.2852 0.9172 0.8883
Se: 0.2403 0.5574 0.0844
H: 0.1173 0.0075 0.6014
H: 0.4278 0.7284 0.9240
H: 0.7399 0.5179 0.1681
H: 0.9922 0.1458 0.4745
C: 0.2367 0.0040 0.6164
C: 0.2367 0.9960 0.8836
C: 0.5577 0.8093 0.2137
H: 0.0359 0.8325 0.6679
C: 0.9922 0.2690 0.0378
N: 0.6811 0.9267 0.0767
Se: 0.2828 0.5715 0.3360
H: 0.9331 0.6738 0.9387
H: 0.5669 0.8262 0.9387
N: 0.5815 0.3049 0.4983
H: 0.9331 0.4305 0.4120
H: 0.9608 0.7363 0.6283
H: 0.0669 0.6738 0.4387
C: 0.0078 0.2690 0.5378
H: 0.0722 0.2284 0.5760
N: 0.0559 0.7567 0.6544
H: 0.9641 0.1675 0.3321
C: 0.9423 0.3093 0.2863
H: 0.4331 0.9305 0.5880
H: 0.0180 0.6121 0.7014
H: 0.8136 0.5493 0.0288
H: 0.3827 0.5075 0.8986
H: 0.0078 0.1458 0.9745
H: 0.9331 0.3262 0.5613
H: 0.2399 0.9821 0.6681
C: 0.5078 0.7690 0.4622
H: 0.6395 0.6471 0.9701
H: 0.5180 0.8879 0.2014
H: 0.9922 0.8542 0.0255
H: 0.9820 0.6121 0.2014
C: 0.7633 0.9960 0.3836
H: 0.5359 0.6675 0.1679
H: 0.2148 0.4172 0.6117
C: 0.9922 0.7310 0.4622
N: 0.9441 0.7567 0.1544
C: 0.5078 0.2310 0.0378
H: 0.5180 0.1121 0.2986
H: 0.4922 0.3542 0.9745
H: 0.8827 0.9925 0.3986
Se: 0.4329 0.5000 0.2500

=====

(2)
Compound: MnSn4H24C8Se10N2
Source: the Materials Project
Functional: PBE
Structure: optimized geometry

Computed properties:
The formation energy from the elements is -0.228 eV per atom. As for the theoretical density: 2.810 g/cm3. Its crystal system is tetragonal.

a b c (Å): 10.9167 10.9167 10.9167
angles (deg): 123.44 123.44 84.15
Sites, in units of the cell vectors:
H: 0.9268 0.1802 0.1357
H: 0.0445 0.7911 0.8643
C: 0.9799 0.8335 0.9210
H: 0.5599 0.3382 0.4248
C: 0.9125 0.0589 0.0790
Se: 0.4947 0.6874 0.5350
Se: 0.6872 0.6872 0.0000
Se: 0.3126 0.8476 0.8073
Sn: 0.4069 0.6680 0.8933
H: 0.2263 0.0405 0.0830
H: 0.9595 0.0425 0.1858
H: 0.8567 0.7737 0.8142
H: 0.7161 0.0247 0.4252
H: 0.7090 0.2839 0.3086
Sn: 0.7746 0.5136 0.1067
C: 0.9411 0.0201 0.8536
N: 0.7500 0.2500 0.5000
H: 0.8198 0.9555 0.7465
Sn: 0.3320 0.2254 0.7389
Se: 0.7698 0.6084 0.3791
H: 0.8023 0.1771 0.6622
Se: 0.2293 0.3907 0.6209
H: 0.8648 0.4401 0.7783
H: 0.9575 0.1433 0.9170
Se: 0.3916 0.7707 0.1615
N: 0.0000 0.0000 0.0000
H: 0.9753 0.4005 0.6914
H: 0.8599 0.1977 0.3748
C: 0.8621 0.4060 0.6615
H: 0.0078 0.9764 0.7992
H: 0.1772 0.2086 0.2008
H: 0.0236 0.8228 0.0314
C: 0.7445 0.2006 0.3385
C: 0.1665 0.0875 0.1464
H: 0.9134 0.1352 0.5752
Se: 0.1524 0.9596 0.4650
Se: 0.3128 0.3128 0.0000
Se: 0.6093 0.2302 0.8385
H: 0.7914 0.9922 0.9686
Se: 0.0403 0.5053 0.1927
C: 0.5940 0.2555 0.4561
H: 0.6618 0.0866 0.2217
Sn: 0.4864 0.5931 0.2611
Mn: 0.2500 0.7500 0.5000
C: 0.7994 0.1379 0.5439
H: 0.2089 0.0732 0.2535
H: 0.5149 0.1401 0.3378
H: 0.8229 0.4851 0.6252
H: 0.5995 0.2910 0.5748

=====

(3)
Compound: Mo3H24C8S13N2
Source: the Materials Project
Functional: PBE
Structure: optimized geometry

Computed properties:
The formation energy from the elements is -0.377 eV per atom. As for the theoretical density: 1.881 g/cm3. The value obtained for the maximum piezoelectric response is 0.129 C/m². Its crystal system is trigonal.

a b c (Å): 11.1671 11.1671 6.9723
angles (deg): 90.00 90.00 120.00
Sites, in units of the cell vectors:
H: 0.3277 0.7574 0.1977
S: 0.0000 0.7421 0.0339
C: 0.3388 0.5434 0.5357
H: 0.7967 0.5505 0.4874
C: 0.5434 0.3388 0.5357
H: 0.7537 0.2033 0.4874
S: 0.3092 0.0000 0.2354
C: 0.2046 0.6612 0.5357
S: 0.3628 0.0000 0.9514
S: 0.0000 0.3092 0.2354
H: 0.4297 0.6723 0.1977
H: 0.2426 0.5703 0.1977
S: 0.0000 0.8261 0.7754
H: 0.4519 0.8843 0.4784
Mo: 0.1421 0.0000 0.0152
C: 0.4566 0.7954 0.5357
C: 0.7954 0.4566 0.5357
S: 0.1739 0.1739 0.7754
H: 0.6723 0.4297 0.1977
H: 0.4505 0.7939 0.6929
S: 0.6908 0.6908 0.2354
H: 0.1157 0.5676 0.4784
H: 0.5481 0.4324 0.4784
S: 0.8261 0.0000 0.7754
H: 0.3434 0.5495 0.6929
C: 0.6667 0.3333 0.2459
S: 0.0000 0.0000 0.2698
S: 0.0000 0.3628 0.9514
N: 0.6667 0.3333 0.4620
H: 0.6566 0.2061 0.6929
C: 0.3333 0.6667 0.2459
S: 0.2579 0.2579 0.0339
H: 0.5505 0.7967 0.4874
H: 0.8843 0.4519 0.4784
H: 0.7939 0.4505 0.6929
H: 0.2061 0.6566 0.6929
H: 0.7574 0.3277 0.1977
C: 0.6612 0.2046 0.5357
H: 0.5703 0.2426 0.1977
Mo: 0.8579 0.8579 0.0152
H: 0.4324 0.5481 0.4784
S: 0.7421 0.0000 0.0339
S: 0.6372 0.6372 0.9514
H: 0.2033 0.7537 0.4874
H: 0.5495 0.3434 0.6929
H: 0.2463 0.4495 0.4874
Mo: 0.0000 0.1421 0.0152
H: 0.4495 0.2463 0.4874
H: 0.5676 0.1157 0.4784
N: 0.3333 0.6667 0.4620

=====

(4)
Compound: MoH12C2S4N2
Source: the Materials Project
Functional: PBE
Structure: optimized geometry

Computed properties:
The formation energy from the elements is -0.432 eV per atom. As for the theoretical density: 1.714 g/cm3. Its crystal system is orthorhombic.

a b c (Å): 7.1680 9.5811 16.2666
angles (deg): 90.00 90.00 90.00
Sites, in units of the cell vectors:
N: 0.2500 0.1625 0.0899
H: 0.2500 0.0387 0.5937
C: 0.7500 0.5342 0.2143
H: 0.1338 0.3848 0.8941
S: 0.2500 0.0207 0.4142
H: 0.3665 0.6094 0.4314
H: 0.3662 0.3848 0.8941
S: 0.4985 0.8470 0.1000
H: 0.1251 0.2280 0.2011
S: 0.9985 0.1530 0.9000
H: 0.7500 0.2391 0.5640
C: 0.7500 0.0342 0.2857
C: 0.2500 0.9658 0.7143
C: 0.2500 0.6714 0.3186
S: 0.2500 0.2640 0.5854
H: 0.2500 0.5387 0.9063
H: 0.6338 0.6152 0.1059
H: 0.2500 0.7609 0.4360
S: 0.0015 0.3470 0.4000
H: 0.8662 0.6152 0.1059
S: 0.2500 0.5207 0.0858
H: 0.2500 0.0658 0.2066
H: 0.1257 0.5257 0.7687
S: 0.0015 0.8470 0.1000
N: 0.7500 0.3375 0.5899
H: 0.1251 0.7280 0.2989
H: 0.8749 0.2720 0.7011
H: 0.2500 0.8654 0.7462
H: 0.6338 0.1152 0.3941
S: 0.5015 0.6530 0.6000
H: 0.7500 0.1346 0.2538
H: 0.2500 0.5658 0.2934
H: 0.8749 0.7720 0.7989
S: 0.7500 0.7360 0.4146
S: 0.5015 0.1530 0.9000
C: 0.7500 0.3286 0.6814
S: 0.7500 0.9793 0.5858
H: 0.3749 0.2280 0.2011
N: 0.2500 0.6625 0.4101
H: 0.7500 0.6346 0.2462
H: 0.1335 0.1094 0.0686
H: 0.6251 0.2720 0.7011
H: 0.6251 0.7720 0.7989
H: 0.3665 0.1094 0.0686
S: 0.7500 0.4793 0.9142
Mo: 0.2500 0.2425 0.4500
H: 0.6335 0.3906 0.5686
H: 0.1335 0.6094 0.4314
H: 0.3743 0.0257 0.7313
H: 0.7500 0.9342 0.7934
N: 0.2500 0.9420 0.6241
H: 0.8743 0.4743 0.2313
S: 0.7500 0.2360 0.0854
H: 0.6335 0.8906 0.9314
H: 0.1257 0.0257 0.7313
H: 0.7500 0.9613 0.4063
Mo: 0.7500 0.7575 0.5500
S: 0.9985 0.6530 0.6000
H: 0.3662 0.8848 0.6059
N: 0.7500 0.8375 0.9101
C: 0.7500 0.8286 0.8186
Mo: 0.2500 0.7425 0.0500
H: 0.8743 0.9743 0.2687
H: 0.1338 0.8848 0.6059
S: 0.4985 0.3470 0.4000
H: 0.8665 0.3906 0.5686
S: 0.2500 0.7640 0.9146
C: 0.2500 0.1714 0.1814
H: 0.2500 0.2609 0.0640
H: 0.8662 0.1152 0.3941
H: 0.7500 0.4342 0.7066
H: 0.3743 0.5257 0.7687
N: 0.7500 0.0580 0.3759
H: 0.6257 0.9743 0.2687
N: 0.7500 0.5580 0.1241
Mo: 0.7500 0.2575 0.9500
H: 0.7500 0.7391 0.9360
H: 0.6257 0.4743 0.2313
H: 0.2500 0.3654 0.7538
C: 0.2500 0.4658 0.7857
H: 0.8665 0.8906 0.9314
N: 0.2500 0.4420 0.8759
H: 0.3749 0.7280 0.2989
H: 0.7500 0.4613 0.0937

=====

(5)
Compound: Mo3H20C8S13N2
Source: the Materials Project
Functional: PBE
Structure: optimized geometry

Computed properties:
The formation energy from the elements is -0.190 eV per atom. As for the theoretical density: 2.045 g/cm3. Its crystal system is monoclinic.

a b c (Å): 11.5691 11.5691 5.9586
angles (deg): 89.87 89.87 120.17
Sites, in units of the cell vectors:
S: 0.3468 0.0000 0.9316
Mo: 0.8618 0.8618 0.0163
H: 0.4490 0.7929 0.7374
S: 0.1670 0.1670 0.7369
H: 0.8784 0.4499 0.4820
H: 0.5709 0.1236 0.4766
H: 0.2078 0.7511 0.4857
Mo: 0.0001 0.1376 0.0159
H: 0.2453 0.5729 0.1742
H: 0.7511 0.2078 0.4857
H: 0.6578 0.2067 0.7297
S: 0.0001 0.8341 0.7377
Mo: 0.1376 0.0001 0.0159
C: 0.3374 0.6710 0.2108
H: 0.4499 0.8784 0.4820
S: 0.9995 0.7492 0.0376
H: 0.2067 0.6578 0.7297
H: 0.5513 0.3464 0.7291
H: 0.7929 0.4490 0.7374
H: 0.2487 0.4580 0.4891
C: 0.6615 0.2082 0.5451
S: 0.2513 0.2513 0.0364
H: 0.4290 0.5518 0.4725
N: 0.3354 0.6689 0.4638
C: 0.7931 0.4537 0.5530
H: 0.3464 0.5513 0.7291
C: 0.3397 0.5477 0.5449
C: 0.4537 0.7931 0.5530
S: 0.9977 0.3039 0.2632
H: 0.1236 0.5709 0.4766
H: 0.4580 0.2487 0.4891
C: 0.5477 0.3397 0.5449
S: 0.3039 0.9977 0.2632
S: 0.9993 0.9993 0.3138
C: 0.6710 0.3374 0.2108
H: 0.5439 0.7938 0.4941
S: 0.6522 0.6522 0.9334
C: 0.2082 0.6615 0.5451
N: 0.6689 0.3354 0.4638
H: 0.7938 0.5439 0.4941
H: 0.5729 0.2453 0.1742
S: 0.0000 0.3468 0.9316
S: 0.7492 0.9995 0.0376
S: 0.8341 0.0001 0.7377
H: 0.5518 0.4290 0.4725
S: 0.6925 0.6925 0.2631